No. 1
First-principles (PBE+U) data for an optimized crystal structure of Li2Ti2V3O10, as listed in the Materials Project.

```
Li2Ti2V3O10
1.0
6.435 0.000 0.000
0.104 8.167 0.000
3.004 1.795 7.383
Li Ti V O
4 4 6 20
Direct
0.184 0.137 0.395
0.315 0.371 0.605
0.685 0.629 0.395
0.816 0.863 0.605
0.221 0.717 0.685
0.267 0.782 0.314
0.733 0.218 0.686
0.779 0.283 0.315
0.120 0.583 0.104
0.245 0.249 0.004
0.380 0.920 0.888
0.620 0.080 0.112
0.755 0.751 0.996
0.880 0.417 0.896
0.015 0.684 0.318
0.089 0.803 0.936
0.126 0.345 0.219
0.160 0.888 0.509
0.207 0.492 0.862
0.303 0.012 0.139
0.346 0.618 0.485
0.356 0.138 0.790
0.420 0.713 0.062
0.479 0.820 0.689
0.521 0.180 0.311
0.580 0.287 0.938
0.644 0.862 0.210
0.654 0.382 0.515
0.697 0.988 0.861
0.793 0.508 0.138
0.840 0.112 0.491
0.874 0.655 0.781
0.911 0.197 0.064
0.985 0.316 0.682
```

The value obtained for the calculated total energy is -7.779 eV/atom. The crystal system is triclinic. Its symmetry is No. 2. For the energy above the most stable polymorph in this dataset, the calculation gives 1 meV/atom. The calculation puts the MP2020-corrected energy at -8.48 eV per atom.

No. 2
First-principles (PBE+U) data for an optimized crystal structure of Li5Mn3O8, as listed in the Materials Project.

```
Li5Mn3O8
1.0
4.885 -1.440 0.000
4.885 1.440 0.000
-1.552 0.000 10.262
Li Mn O
5 3 8
Direct
0.000 0.000 0.000
0.236 0.236 0.356
0.258 0.258 0.892
0.742 0.742 0.108
0.764 0.764 0.644
0.000 0.000 0.500
0.482 0.482 0.234
0.518 0.518 0.766
0.099 0.099 0.192
0.125 0.125 0.697
0.376 0.376 0.076
0.398 0.398 0.573
0.602 0.602 0.427
0.624 0.624 0.924
0.875 0.875 0.303
0.901 0.901 0.808
```

The value obtained for the calculated total energy is -6.252 eV/atom. The crystal system is monoclinic. Its symmetry is No. 12. For the energy above the most stable polymorph in this dataset, the calculation gives 30 meV/atom. The calculation puts the MP2020-corrected energy at -6.91 eV per atom.

No. 3
First-principles (PBE+U) data for an optimized crystal structure of Li3V3P8O29, as listed in the Materials Project.

```
Li3V3P8O29
1.0
8.444 -4.897 0.000
8.444 4.897 0.000
-0.086 0.000 13.948
Li V P O
6 6 16 58
Direct
0.067 0.933 0.500
0.519 0.936 0.998
0.613 0.753 0.382
0.753 0.613 0.882
0.933 0.067 0.000
0.936 0.519 0.498
0.275 0.405 0.190
0.276 0.834 0.695
0.403 0.844 0.191
0.405 0.275 0.690
0.834 0.276 0.195
0.844 0.403 0.691
0.069 0.928 0.284
0.071 0.529 0.787
0.154 0.611 0.599
0.155 0.752 0.099
0.171 0.174 0.069
0.174 0.171 0.569
0.505 0.510 0.314
0.510 0.505 0.814
0.524 0.930 0.781
0.529 0.071 0.287
0.611 0.154 0.099
0.611 0.752 0.598
0.752 0.155 0.599
0.752 0.611 0.098
0.928 0.069 0.784
0.930 0.524 0.281
0.023 0.171 0.109
0.023 0.327 0.611
0.049 0.634 0.693
0.049 0.835 0.194
0.072 0.602 0.511
0.076 0.606 0.877
0.076 0.846 0.013
0.082 0.849 0.376
0.097 0.927 0.774
0.098 0.499 0.277
0.167 0.180 0.463
0.171 0.023 0.609
0.174 0.321 0.115
0.180 0.167 0.963
0.181 0.756 0.601
0.184 0.582 0.105
0.222 0.937 0.263
0.224 0.367 0.764
0.316 0.459 0.617
0.316 0.747 0.119
0.321 0.174 0.615
0.327 0.023 0.111
0.361 0.507 0.268
0.361 0.656 0.768
0.362 0.937 0.763
0.367 0.224 0.264
0.459 0.316 0.117
0.459 0.745 0.620
0.499 0.098 0.777
0.500 0.926 0.278
0.507 0.361 0.768
0.510 0.513 0.920
0.510 0.659 0.272
0.513 0.510 0.420
0.582 0.184 0.605
0.583 0.758 0.103
0.597 0.841 0.871
0.602 0.072 0.011
0.602 0.832 0.507
0.606 0.076 0.377
0.634 0.049 0.193
0.635 0.840 0.690
0.656 0.361 0.268
0.659 0.510 0.772
0.745 0.459 0.120
0.747 0.316 0.619
0.756 0.181 0.101
0.758 0.583 0.603
0.832 0.602 0.007
0.835 0.049 0.694
0.840 0.635 0.190
0.841 0.597 0.371
0.846 0.076 0.513
0.849 0.082 0.876
0.926 0.500 0.778
0.927 0.097 0.274
0.937 0.222 0.763
0.937 0.362 0.263
```

The value obtained for the calculated total energy is -7.043 eV/atom. The crystal system is monoclinic. Its symmetry is No. 9. For the energy above the most stable polymorph in this dataset, the calculation gives 20 meV/atom. The calculation puts the MP2020-corrected energy at -7.62 eV per atom.

No. 4
First-principles (PBE+U) data for an optimized crystal structure of LiV2NiO6, as listed in the Materials Project.

```
LiV2NiO6
1.0
5.656 0.000 0.000
2.309 6.356 0.000
1.853 0.907 6.733
Li V Ni O
2 4 2 12
Direct
0.246 0.287 0.238
0.754 0.713 0.762
0.198 0.857 0.117
0.244 0.361 0.717
0.756 0.639 0.283
0.802 0.143 0.883
0.254 0.913 0.580
0.746 0.087 0.420
0.093 0.607 0.181
0.160 0.001 0.312
0.206 0.969 0.862
0.226 0.615 0.625
0.353 0.212 0.515
0.433 0.282 0.901
0.567 0.718 0.099
0.647 0.788 0.485
0.774 0.385 0.375
0.794 0.031 0.138
0.840 0.999 0.688
0.907 0.393 0.819
```

The value obtained for the calculated total energy is -6.585 eV/atom. The crystal system is triclinic. Its symmetry is No. 2. For the energy above the most stable polymorph in this dataset, the calculation gives 139 meV/atom. The calculation puts the MP2020-corrected energy at -7.59 eV per atom.

No. 5
First-principles (PBE+U) data for an optimized crystal structure of Li2FeO3, as listed in the Materials Project.

```
Li2FeO3
1.0
1.361 2.940 -3.808
-0.284 7.102 5.382
4.209 -1.582 2.310
Fe Li O
4 8 12
Direct
0.750 0.414 0.500
0.250 0.914 0.500
0.750 0.086 0.500
0.250 0.586 0.500
0.750 0.908 0.000
0.750 0.750 0.500
0.750 0.250 0.000
0.250 0.750 0.000
0.250 0.250 0.500
0.250 0.408 0.000
0.750 0.592 0.000
0.250 0.092 0.000
0.015 0.927 0.726
0.980 0.250 0.736
0.485 0.927 0.274
0.015 0.573 0.726
0.485 0.573 0.274
0.480 0.750 0.736
0.515 0.427 0.726
0.985 0.073 0.274
0.515 0.073 0.726
0.020 0.750 0.264
0.985 0.427 0.274
0.520 0.250 0.264
```

The value obtained for the calculated total energy is -5.677 eV/atom. The calculation puts the MP2020-corrected energy at -6.40 eV per atom.

No. 6
First-principles (PBE+U) data for an optimized crystal structure of Ca4Mg3FeSi8O24, as listed in the Materials Project.

```
Ca4Mg3FeSi8O24
1.0
5.322 0.000 0.000
-1.364 6.572 0.000
-2.594 -0.634 13.130
Ca Mg Fe Si O
4 3 1 8 24
Direct
0.000 0.000 0.000
0.201 0.402 0.701
0.499 0.998 0.499
0.700 0.401 0.200
0.304 0.609 0.304
0.397 0.794 0.897
0.804 0.608 0.804
0.897 0.794 0.397
0.060 0.507 0.040
0.142 0.895 0.662
0.235 0.082 0.253
0.466 0.321 0.947
0.559 0.506 0.541
0.641 0.894 0.160
0.734 0.081 0.754
0.967 0.322 0.448
0.060 0.672 0.952
0.085 0.586 0.156
0.118 0.815 0.547
0.141 0.729 0.749
0.237 0.906 0.335
0.269 0.333 0.518
0.286 0.368 0.034
0.337 0.090 0.908
0.364 0.313 0.293
0.415 0.035 0.166
0.431 0.068 0.684
0.472 0.497 0.865
0.551 0.670 0.453
0.586 0.586 0.657
0.615 0.816 0.044
0.637 0.726 0.246
0.728 0.904 0.836
0.770 0.334 0.017
0.787 0.369 0.534
0.836 0.092 0.408
0.864 0.312 0.793
0.914 0.034 0.667
0.931 0.067 0.184
0.972 0.494 0.363
```

The value obtained for the calculated total energy is -7.380 eV/atom. The crystal system is triclinic. Its symmetry is No. 1. The calculation puts the MP2020-corrected energy at -7.85 eV per atom.

No. 7
First-principles (PBE+U) data for an optimized crystal structure of Li2MnOF3, as listed in the Materials Project.

```
Li2MnOF3
1.0
4.781 -3.148 0.000
4.781 3.148 0.000
-3.678 0.000 4.820
Li Mn O F
4 2 2 6
Direct
0.000 0.000 0.000
0.130 0.587 0.358
0.587 0.130 0.358
0.620 0.620 0.372
0.152 0.152 0.679
0.622 0.622 0.862
0.420 0.826 0.634
0.826 0.420 0.634
0.320 0.320 0.568
0.332 0.332 0.101
0.404 0.820 0.096
0.820 0.404 0.096
0.909 0.909 0.199
0.914 0.914 0.626
```

The value obtained for the calculated total energy is -5.606 eV/atom. The crystal system is monoclinic. Its symmetry is No. 8. For the energy above the most stable polymorph in this dataset, the calculation gives 38 meV/atom. The calculation puts the MP2020-corrected energy at -6.14 eV per atom.

No. 8
First-principles (PBE+U) data for an optimized crystal structure of MgMnSb2O6, as listed in the Materials Project.

```
MgMnSb2O6
1.0
5.492 0.000 0.000
-2.746 4.756 0.000
0.000 0.000 5.322
Mg Mn Sb O
1 1 2 6
Direct
0.000 0.000 0.000
0.000 0.000 0.500
0.333 0.667 0.000
0.667 0.333 0.000
0.336 0.036 0.211
0.336 0.300 0.789
0.700 0.036 0.789
0.700 0.664 0.211
0.964 0.300 0.211
0.964 0.664 0.789
```

The value obtained for the calculated total energy is -6.202 eV/atom. The crystal system is trigonal. Its symmetry is No. 149. For the energy above the most stable polymorph in this dataset, the calculation gives 139 meV/atom. The calculation puts the MP2020-corrected energy at -6.78 eV per atom.

No. 9
First-principles (PBE+U) data for an optimized crystal structure of MnSb3XeF23, as listed in the Materials Project.

```
MnSb3XeF23
1.0
11.357 0.000 0.000
0.000 10.838 0.000
-11.321 0.000 15.964
Mn Sb Xe F
4 12 4 92
Direct
0.000 0.000 0.000
0.000 0.500 0.500
0.500 0.000 0.500
0.500 0.500 0.000
0.185 0.200 0.484
0.185 0.300 0.984
0.286 0.502 0.746
0.286 0.998 0.246
0.289 0.705 0.494
0.289 0.795 0.994
0.711 0.205 0.006
0.711 0.295 0.506
0.714 0.002 0.754
0.714 0.498 0.254
0.815 0.700 0.016
0.815 0.800 0.516
0.299 0.052 0.756
0.299 0.448 0.256
0.701 0.552 0.744
0.701 0.948 0.244
0.048 0.175 0.973
0.048 0.325 0.473
0.050 0.073 0.455
0.050 0.427 0.955
0.108 0.036 0.228
0.108 0.464 0.728
0.114 0.220 0.370
0.114 0.280 0.870
0.120 0.144 0.679
0.120 0.356 0.179
0.136 0.590 0.472
0.136 0.910 0.972
0.164 0.558 0.256
0.164 0.942 0.756
0.171 0.732 0.883
0.171 0.768 0.383
0.195 0.022 0.125
0.195 0.478 0.625
0.215 0.676 0.031
0.215 0.824 0.531
0.244 0.672 0.727
0.244 0.828 0.227
0.254 0.556 0.163
0.254 0.944 0.663
0.260 0.179 0.600
0.260 0.321 0.100
0.305 0.128 0.848
0.305 0.372 0.348
0.323 0.174 0.016
0.323 0.326 0.516
0.326 0.077 0.497
0.326 0.423 0.997
0.341 0.169 0.265
0.341 0.331 0.765
0.365 0.583 0.461
0.365 0.917 0.961
0.377 0.523 0.866
0.377 0.977 0.366
0.412 0.646 0.607
0.412 0.854 0.107
0.437 0.574 0.332
0.437 0.926 0.832
0.442 0.679 0.018
0.442 0.821 0.518
0.469 0.535 0.764
0.469 0.965 0.264
0.531 0.035 0.736
0.531 0.465 0.236
0.558 0.179 0.482
0.558 0.321 0.982
0.563 0.074 0.168
0.563 0.426 0.668
0.588 0.146 0.893
0.588 0.354 0.393
0.623 0.023 0.634
0.623 0.477 0.134
0.635 0.083 0.039
0.635 0.417 0.539
0.659 0.669 0.235
0.659 0.831 0.735
0.674 0.577 0.003
0.674 0.923 0.503
0.677 0.674 0.484
0.677 0.826 0.984
0.695 0.628 0.652
0.695 0.872 0.152
0.740 0.679 0.900
0.740 0.821 0.400
0.746 0.056 0.337
0.746 0.444 0.837
0.756 0.172 0.773
0.756 0.328 0.273
0.785 0.176 0.469
0.785 0.324 0.969
0.805 0.522 0.375
0.805 0.978 0.875
0.829 0.232 0.617
0.829 0.268 0.117
0.836 0.058 0.244
0.836 0.442 0.744
0.864 0.090 0.028
0.864 0.410 0.528
0.880 0.644 0.821
0.880 0.856 0.321
0.886 0.720 0.130
0.886 0.780 0.630
0.892 0.536 0.272
0.892 0.964 0.772
0.950 0.573 0.045
0.950 0.927 0.545
0.952 0.675 0.527
0.952 0.825 0.027
```

The value obtained for the calculated total energy is -4.029 eV/atom. The crystal system is monoclinic. Its symmetry is No. 14. For the energy above the most stable polymorph in this dataset, the calculation gives 98 meV/atom. The calculation puts the MP2020-corrected energy at -4.47 eV per atom.